# 1
VASP calculation (PBE) on an optimized crystal structure of K2CoBr4.

a = 9.791 Å, b = 7.668 Å, c = 13.299 Å
α = 90.00°, β = 90.00°, γ = 90.00°
Atoms (fractional coordinates):
K (0.015, 0.250, 0.179)
K (0.154, 0.750, 0.417)
K (0.346, 0.250, 0.917)
K (0.485, 0.750, 0.679)
K (0.515, 0.250, 0.321)
K (0.654, 0.750, 0.083)
K (0.846, 0.250, 0.583)
K (0.985, 0.750, 0.821)
Co (0.230, 0.750, 0.076)
Co (0.270, 0.250, 0.576)
Co (0.730, 0.750, 0.424)
Co (0.770, 0.250, 0.924)
Br (0.014, 0.250, 0.919)
Br (0.185, 0.506, 0.657)
Br (0.185, 0.994, 0.657)
Br (0.186, 0.250, 0.407)
Br (0.314, 0.750, 0.907)
Br (0.315, 0.006, 0.157)
Br (0.315, 0.494, 0.157)
Br (0.486, 0.750, 0.419)
Br (0.514, 0.250, 0.581)
Br (0.685, 0.506, 0.843)
Br (0.685, 0.994, 0.843)
Br (0.686, 0.250, 0.093)
Br (0.814, 0.750, 0.593)
Br (0.815, 0.006, 0.343)
Br (0.815, 0.494, 0.343)
Br (0.986, 0.750, 0.081)

## Properties
Its space-group type is Pnma. As for the total energy: -3.42 eV per atom. The formation energy is -1.460 eV per atom.

=====

# 2
VASP calculation (PBE) on an optimized crystal structure of TlCoBr6N6.

a = 10.831 Å, b = 10.831 Å, c = 10.831 Å
α = 90.00°, β = 90.00°, γ = 90.00°
Atoms (fractional coordinates):
Tl (0.000, 0.000, 0.000)
Tl (0.000, 0.500, 0.500)
Tl (0.500, 0.000, 0.500)
Tl (0.500, 0.500, 0.000)
Co (0.000, 0.000, 0.500)
Co (0.000, 0.500, 0.000)
Co (0.500, 0.000, 0.000)
Co (0.500, 0.500, 0.500)
Br (0.055, 0.734, 0.187)
Br (0.055, 0.766, 0.687)
Br (0.187, 0.055, 0.734)
Br (0.187, 0.445, 0.234)
Br (0.234, 0.187, 0.445)
Br (0.234, 0.313, 0.945)
Br (0.266, 0.687, 0.445)
Br (0.266, 0.813, 0.945)
Br (0.313, 0.555, 0.734)
Br (0.313, 0.945, 0.234)
Br (0.445, 0.234, 0.187)
Br (0.445, 0.266, 0.687)
Br (0.555, 0.734, 0.313)
Br (0.555, 0.766, 0.813)
Br (0.687, 0.055, 0.766)
Br (0.687, 0.445, 0.266)
Br (0.734, 0.187, 0.055)
Br (0.734, 0.313, 0.555)
Br (0.766, 0.687, 0.055)
Br (0.766, 0.813, 0.555)
Br (0.813, 0.555, 0.766)
Br (0.813, 0.945, 0.266)
Br (0.945, 0.234, 0.313)
Br (0.945, 0.266, 0.813)
N (0.049, 0.094, 0.641)
N (0.049, 0.406, 0.141)
N (0.094, 0.641, 0.049)
N (0.094, 0.859, 0.549)
N (0.141, 0.049, 0.406)
N (0.141, 0.451, 0.906)
N (0.359, 0.549, 0.406)
N (0.359, 0.951, 0.906)
N (0.406, 0.141, 0.049)
N (0.406, 0.359, 0.549)
N (0.451, 0.594, 0.641)
N (0.451, 0.906, 0.141)
N (0.549, 0.094, 0.859)
N (0.549, 0.406, 0.359)
N (0.594, 0.641, 0.451)
N (0.594, 0.859, 0.951)
N (0.641, 0.049, 0.094)
N (0.641, 0.451, 0.594)
N (0.859, 0.549, 0.094)
N (0.859, 0.951, 0.594)
N (0.906, 0.141, 0.451)
N (0.906, 0.359, 0.951)
N (0.951, 0.594, 0.859)
N (0.951, 0.906, 0.359)

## Properties
The value obtained for the size of the total moment is 24.01 μB/cell. Its space-group type is Pa-3. As for the total energy: -3.81 eV per atom. The formation energy is 0.985 eV per atom.

=====

# 3
VASP calculation (PBE) on an optimized crystal structure of Pr6CoBr10.

a = 7.689 Å, b = 9.433 Å, c = 9.608 Å
α = 109.78°, β = 107.04°, γ = 97.03°
Atoms (fractional coordinates):
Pr (0.021, 0.397, 0.194)
Pr (0.121, 0.262, 0.543)
Pr (0.370, 0.691, 0.645)
Pr (0.630, 0.309, 0.355)
Pr (0.879, 0.738, 0.457)
Pr (0.979, 0.603, 0.806)
Co (0.000, 0.500, 0.500)
Br (0.088, 0.329, 0.865)
Br (0.193, 0.138, 0.234)
Br (0.258, 0.961, 0.583)
Br (0.373, 0.779, 0.969)
Br (0.449, 0.580, 0.326)
Br (0.551, 0.420, 0.674)
Br (0.627, 0.221, 0.031)
Br (0.742, 0.039, 0.417)
Br (0.807, 0.862, 0.766)
Br (0.912, 0.671, 0.135)

## Properties
Its space-group type is P-1. As for the total energy: -4.65 eV per atom. The formation energy is -1.897 eV per atom.

=====

# 4
VASP calculation (PBE) on an optimized crystal structure of Rb2CoBr4.

a = 9.892 Å, b = 7.736 Å, c = 13.622 Å
α = 90.00°, β = 90.00°, γ = 90.00°
Atoms (fractional coordinates):
Rb (0.015, 0.250, 0.171)
Rb (0.126, 0.750, 0.408)
Rb (0.374, 0.250, 0.908)
Rb (0.485, 0.750, 0.671)
Rb (0.515, 0.250, 0.329)
Rb (0.626, 0.750, 0.092)
Rb (0.874, 0.250, 0.592)
Rb (0.985, 0.750, 0.829)
Co (0.227, 0.750, 0.077)
Co (0.273, 0.250, 0.577)
Co (0.727, 0.750, 0.423)
Co (0.773, 0.250, 0.923)
Br (0.015, 0.250, 0.913)
Br (0.181, 0.250, 0.413)
Br (0.184, 0.501, 0.656)
Br (0.184, 0.999, 0.656)
Br (0.316, 0.001, 0.156)
Br (0.316, 0.499, 0.156)
Br (0.319, 0.750, 0.913)
Br (0.485, 0.750, 0.413)
Br (0.515, 0.250, 0.587)
Br (0.681, 0.250, 0.087)
Br (0.684, 0.501, 0.844)
Br (0.684, 0.999, 0.844)
Br (0.816, 0.001, 0.344)
Br (0.816, 0.499, 0.344)
Br (0.819, 0.750, 0.587)
Br (0.985, 0.750, 0.087)

## Properties
Its space-group type is Pnma. As for the total energy: -3.42 eV per atom. The formation energy is -1.495 eV per atom.

=====

# 5
VASP calculation (PBE) on an optimized crystal structure of Th6CoBr15.

a = 10.176 Å, b = 10.176 Å, c = 10.176 Å
α = 109.47°, β = 109.47°, γ = 109.47°
Atoms (fractional coordinates):
Th (0.000, 0.237, 0.237)
Th (0.000, 0.763, 0.763)
Th (0.237, 0.000, 0.237)
Th (0.237, 0.237, 0.000)
Th (0.763, 0.000, 0.763)
Th (0.763, 0.763, 0.000)
Co (0.000, 0.000, 0.000)
Br (0.000, 0.249, 0.751)
Br (0.000, 0.500, 0.500)
Br (0.000, 0.751, 0.249)
Br (0.249, 0.000, 0.751)
Br (0.249, 0.249, 0.499)
Br (0.249, 0.499, 0.249)
Br (0.249, 0.751, 0.000)
Br (0.499, 0.249, 0.249)
Br (0.500, 0.000, 0.500)
Br (0.500, 0.500, 0.000)
Br (0.501, 0.751, 0.751)
Br (0.751, 0.000, 0.249)
Br (0.751, 0.249, 0.000)
Br (0.751, 0.501, 0.751)
Br (0.751, 0.751, 0.501)

## Properties
Its space-group type is Im-3m. As for the total energy: -5.04 eV per atom. The formation energy is -1.945 eV per atom.

=====

# 6
VASP calculation (PBE) on an optimized crystal structure of Y6CoBr10.

a = 7.358 Å, b = 9.083 Å, c = 9.229 Å
α = 108.42°, β = 97.18°, γ = 105.34°
Atoms (fractional coordinates):
Y (0.028, 0.212, 0.411)
Y (0.121, 0.545, 0.254)
Y (0.361, 0.636, 0.678)
Y (0.639, 0.364, 0.322)
Y (0.879, 0.455, 0.746)
Y (0.972, 0.788, 0.589)
Co (0.000, 0.500, 0.500)
Br (0.086, 0.872, 0.326)
Br (0.210, 0.239, 0.150)
Br (0.256, 0.587, 0.961)
Br (0.356, 0.960, 0.775)
Br (0.451, 0.320, 0.586)
Br (0.549, 0.680, 0.414)
Br (0.644, 0.040, 0.225)
Br (0.744, 0.413, 0.039)
Br (0.790, 0.761, 0.850)
Br (0.914, 0.128, 0.674)

## Properties
Its space-group type is P-1. As for the total energy: -5.24 eV per atom. The formation energy is -1.891 eV per atom.

=====

# 7
VASP calculation (PBE) on an optimized crystal structure of CrBr2.

a = 6.742 Å, b = 6.742 Å, c = 3.748 Å
α = 90.00°, β = 90.00°, γ = 90.00°
Atoms (fractional coordinates):
Cr (0.000, 0.000, 0.000)
Cr (0.500, 0.500, 0.500)
Br (0.182, 0.182, 0.500)
Br (0.318, 0.682, 0.000)
Br (0.682, 0.318, 0.000)
Br (0.818, 0.818, 0.500)

## Properties
The value obtained for the size of the total moment is 8.00 μB/cell. Its space-group type is P4_2/mnm. As for the total energy: -4.95 eV per atom. The formation energy is -0.997 eV per atom.

=====

# 8
VASP calculation (PBE) on an optimized crystal structure of CrBr2.

a = 7.489 Å, b = 3.662 Å, c = 6.507 Å
α = 90.00°, β = 96.41°, γ = 90.00°
Atoms (fractional coordinates):
Cr (0.000, 0.000, 0.000)
Cr (0.500, 0.500, 0.000)
Br (0.146, 0.500, 0.233)
Br (0.354, 0.000, 0.767)
Br (0.646, 0.000, 0.233)
Br (0.854, 0.500, 0.767)

## Properties
The value obtained for the size of the total moment is 8.00 μB/cell. Its space-group type is C2/m. As for the total energy: -4.96 eV per atom. The formation energy is -1.005 eV per atom.

=====

# 9
VASP calculation (PBE) on an optimized crystal structure of Cs3Cr2Br9.

a = 7.790 Å, b = 7.790 Å, c = 19.421 Å
α = 90.00°, β = 90.00°, γ = 120.00°
Atoms (fractional coordinates):
Cs (0.000, 0.000, 0.250)
Cs (0.000, 0.000, 0.750)
Cs (0.333, 0.667, 0.070)
Cs (0.333, 0.667, 0.430)
Cs (0.667, 0.333, 0.570)
Cs (0.667, 0.333, 0.930)
Cr (0.333, 0.667, 0.663)
Cr (0.333, 0.667, 0.837)
Cr (0.667, 0.333, 0.163)
Cr (0.667, 0.333, 0.337)
Br (0.039, 0.519, 0.750)
Br (0.180, 0.360, 0.594)
Br (0.180, 0.360, 0.906)
Br (0.180, 0.820, 0.594)
Br (0.180, 0.820, 0.906)
Br (0.360, 0.180, 0.094)
Br (0.360, 0.180, 0.406)
Br (0.481, 0.519, 0.750)
Br (0.481, 0.961, 0.750)
Br (0.519, 0.039, 0.250)
Br (0.519, 0.481, 0.250)
Br (0.640, 0.820, 0.594)
Br (0.640, 0.820, 0.906)
Br (0.820, 0.180, 0.094)
Br (0.820, 0.180, 0.406)
Br (0.820, 0.640, 0.094)
Br (0.820, 0.640, 0.406)
Br (0.961, 0.481, 0.250)

## Properties
Its space-group type is P6_3/mmc. As for the total energy: -3.91 eV per atom. The formation energy is -1.628 eV per atom.